{"formula": "Ca2Si3O11", "functional": "GGA-PBE", "state": "optimized geometry", "spacegroup": "Cm", "final_energy_ev_per_atom": -6.78, "e_form_mev_per_atom": -2115, "lattice": [[3.378, -11.405, 0.000], [3.378, 11.405, 0.000], [-2.535, 0.000, 6.239]], "species": ["Ca", "Ca", "Ca", "Ca", "Si", "Si", "Si", "Si", "Si", "Si", "O", "O", "O", "O", "O", "O", "O", "O", "O", "O", "O", "O", "O", "O", "O", "O", "O", "O", "O", "O", "O", "O"], "fractional_positions": [[0.203, 0.797, 0.000], [0.302, 0.718, 0.489], [0.718, 0.302, 0.489], [0.797, 0.203, 0.000], [0.209, 0.897, 0.536], [0.310, 0.625, 0.952], [0.625, 0.310, 0.952], [0.761, 0.901, 0.166], [0.897, 0.209, 0.536], [0.901, 0.761, 0.166], [0.043, 0.853, 0.411], [0.072, 0.878, 0.038], [0.080, 0.697, 0.617], [0.131, 0.398, 0.741], [0.174, 0.174, 0.832], [0.187, 0.577, 0.111], [0.262, 0.262, 0.036], [0.327, 0.926, 0.387], [0.398, 0.131, 0.741], [0.405, 0.602, 0.497], [0.414, 0.817, 0.875], [0.493, 0.687, 0.066], [0.577, 0.187, 0.111], [0.602, 0.405, 0.497], [0.687, 0.493, 0.066], [0.697, 0.080, 0.617], [0.814, 0.814, 0.172], [0.817, 0.414, 0.875], [0.853, 0.043, 0.411], [0.878, 0.072, 0.038], [0.926, 0.327, 0.387], [0.968, 0.968, 0.745]]}

---

{"formula": "Ti3Tl3P5O20", "functional": "GGA-PBE", "state": "optimized geometry", "spacegroup": "Pca2_1", "corrected_energy_ev_per_atom": -7.838, "final_energy_ev_per_atom": -7.40, "e_form_mev_per_atom": -2780, "lattice": [[18.522, 0.000, 0.000], [0.000, 6.403, 0.000], [0.000, 0.000, 14.943]], "species": ["Ti", "Ti", "Ti", "Ti", "Ti", "Ti", "Ti", "Ti", "Ti", "Ti", "Ti", "Ti", "Tl", "Tl", "Tl", "Tl", "Tl", "Tl", "Tl", "Tl", "Tl", "Tl", "Tl", "Tl", "P", "P", "P", "P", "P", "P", "P", "P", "P", "P", "P", "P", "P", "P", "P", "P", "P", "P", "P", "P", "O", "O", "O", "O", "O", "O", "O", "O", "O", "O", "O", "O", "O", "O", "O", "O", "O", "O", "O", "O", "O", "O", "O", "O", "O", "O", "O", "O", "O", "O", "O", "O", "O", "O", "O", "O", "O", "O", "O", "O", "O", "O", "O", "O", "O", "O", "O", "O", "O", "O", "O", "O", "O", "O", "O", "O", "O", "O", "O", "O", "O", "O", "O", "O", "O", "O", "O", "O", "O", "O", "O", "O", "O", "O", "O", "O", "O", "O", "O", "O"], "fractional_positions": [[0.044, 0.244, 0.000], [0.052, 0.244, 0.762], [0.147, 0.253, 0.370], [0.353, 0.253, 0.870], [0.448, 0.244, 0.262], [0.456, 0.244, 0.500], [0.544, 0.756, 0.000], [0.552, 0.756, 0.762], [0.647, 0.747, 0.370], [0.853, 0.747, 0.870], [0.948, 0.756, 0.262], [0.956, 0.756, 0.500], [0.149, 0.644, 0.150], [0.155, 0.645, 0.598], [0.178, 0.672, 0.872], [0.322, 0.672, 0.372], [0.345, 0.645, 0.098], [0.351, 0.644, 0.650], [0.649, 0.356, 0.150], [0.655, 0.355, 0.598], [0.678, 0.328, 0.872], [0.822, 0.328, 0.372], [0.845, 0.355, 0.098], [0.851, 0.356, 0.650], [0.003, 0.747, 0.732], [0.011, 0.254, 0.529], [0.103, 0.755, 0.374], [0.222, 0.143, 0.022], [0.227, 0.144, 0.714], [0.273, 0.144, 0.214], [0.278, 0.143, 0.522], [0.397, 0.755, 0.874], [0.489, 0.254, 0.029], [0.497, 0.747, 0.232], [0.503, 0.253, 0.732], [0.511, 0.746, 0.529], [0.603, 0.245, 0.374], [0.722, 0.857, 0.022], [0.727, 0.856, 0.714], [0.773, 0.856, 0.214], [0.778, 0.857, 0.522], [0.897, 0.245, 0.874], [0.989, 0.746, 0.029], [0.997, 0.253, 0.232], [0.015, 0.253, 0.133], [0.029, 0.253, 0.629], [0.035, 0.941, 0.004], [0.038, 0.556, 0.006], [0.049, 0.941, 0.757], [0.051, 0.556, 0.756], [0.054, 0.752, 0.290], [0.061, 0.750, 0.463], [0.067, 0.260, 0.290], [0.069, 0.249, 0.883], [0.082, 0.262, 0.474], [0.147, 0.247, 0.036], [0.151, 0.953, 0.372], [0.155, 0.565, 0.371], [0.156, 0.252, 0.740], [0.211, 0.258, 0.262], [0.220, 0.908, 0.017], [0.227, 0.909, 0.721], [0.233, 0.217, 0.610], [0.237, 0.255, 0.447], [0.263, 0.255, 0.947], [0.267, 0.217, 0.110], [0.273, 0.909, 0.221], [0.280, 0.908, 0.517], [0.289, 0.258, 0.762], [0.344, 0.252, 0.240], [0.345, 0.565, 0.871], [0.349, 0.953, 0.872], [0.353, 0.247, 0.536], [0.418, 0.262, 0.974], [0.431, 0.249, 0.383], [0.433, 0.260, 0.790], [0.439, 0.750, 0.963], [0.446, 0.752, 0.790], [0.449, 0.556, 0.256], [0.451, 0.941, 0.257], [0.462, 0.556, 0.506], [0.465, 0.941, 0.504], [0.471, 0.253, 0.129], [0.485, 0.253, 0.633], [0.515, 0.747, 0.133], [0.529, 0.747, 0.629], [0.535, 0.059, 0.004], [0.538, 0.444, 0.006], [0.549, 0.059, 0.757], [0.551, 0.444, 0.756], [0.554, 0.248, 0.290], [0.561, 0.250, 0.463], [0.567, 0.740, 0.290], [0.569, 0.751, 0.883], [0.582, 0.738, 0.474], [0.647, 0.753, 0.036], [0.651, 0.047, 0.372], [0.655, 0.435, 0.371], [0.656, 0.748, 0.740], [0.711, 0.742, 0.262], [0.720, 0.092, 0.017], [0.727, 0.091, 0.721], [0.733, 0.783, 0.610], [0.737, 0.745, 0.447], [0.763, 0.745, 0.947], [0.767, 0.783, 0.110], [0.773, 0.091, 0.221], [0.780, 0.092, 0.517], [0.789, 0.742, 0.762], [0.844, 0.748, 0.240], [0.845, 0.435, 0.871], [0.849, 0.047, 0.872], [0.853, 0.753, 0.536], [0.918, 0.738, 0.974], [0.931, 0.751, 0.383], [0.933, 0.740, 0.790], [0.939, 0.250, 0.963], [0.946, 0.248, 0.790], [0.949, 0.444, 0.256], [0.951, 0.059, 0.257], [0.962, 0.444, 0.506], [0.965, 0.059, 0.504], [0.971, 0.747, 0.129], [0.985, 0.747, 0.633]]}

---

{"formula": "B5H7", "functional": "GGA-PBE", "state": "optimized geometry", "spacegroup": "P2/c", "corrected_energy_ev_per_atom": -4.949, "final_energy_ev_per_atom": -4.84, "e_form_mev_per_atom": -187, "lattice": [[12.464, 0.000, 0.000], [0.000, 5.636, 0.000], [-8.210, 0.000, 11.726]], "species": ["B", "B", "B", "B", "B", "B", "B", "B", "B", "B", "B", "B", "B", "B", "B", "B", "B", "B", "B", "B", "B", "B", "B", "B", "B", "B", "B", "B", "B", "B", "B", "B", "B", "B", "B", "B", "B", "B", "B", "B", "H", "H", "H", "H", "H", "H", "H", "H", "H", "H", "H", "H", "H", "H", "H", "H", "H", "H", "H", "H", "H", "H", "H", "H", "H", "H", "H", "H", "H", "H", "H", "H", "H", "H", "H", "H", "H", "H", "H", "H", "H", "H", "H", "H", "H", "H", "H", "H", "H", "H", "H", "H", "H", "H", "H", "H"], "fractional_positions": [[0.046, 0.177, 0.372], [0.046, 0.823, 0.872], [0.056, 0.126, 0.896], [0.056, 0.874, 0.396], [0.083, 0.243, 0.272], [0.083, 0.757, 0.772], [0.101, 0.004, 0.204], [0.101, 0.996, 0.704], [0.162, 0.005, 0.366], [0.162, 0.995, 0.866], [0.337, 0.500, 0.202], [0.337, 0.500, 0.702], [0.400, 0.499, 0.103], [0.400, 0.501, 0.603], [0.418, 0.261, 0.189], [0.418, 0.739, 0.689], [0.443, 0.370, 0.840], [0.443, 0.630, 0.340], [0.452, 0.327, 0.325], [0.452, 0.673, 0.825], [0.548, 0.327, 0.175], [0.548, 0.673, 0.675], [0.557, 0.370, 0.660], [0.557, 0.630, 0.160], [0.582, 0.261, 0.311], [0.582, 0.739, 0.811], [0.600, 0.499, 0.397], [0.600, 0.501, 0.897], [0.663, 0.500, 0.298], [0.663, 0.500, 0.798], [0.838, 0.005, 0.134], [0.838, 0.995, 0.634], [0.899, 0.004, 0.296], [0.899, 0.996, 0.796], [0.917, 0.243, 0.228], [0.917, 0.757, 0.728], [0.944, 0.126, 0.604], [0.944, 0.874, 0.104], [0.954, 0.177, 0.128], [0.954, 0.823, 0.628], [0.059, 0.218, 0.691], [0.059, 0.782, 0.191], [0.074, 0.313, 0.446], [0.074, 0.687, 0.946], [0.087, 0.235, 0.979], [0.087, 0.765, 0.479], [0.123, 0.218, 0.858], [0.123, 0.782, 0.358], [0.151, 0.410, 0.290], [0.151, 0.590, 0.790], [0.183, 0.002, 0.686], [0.183, 0.998, 0.186], [0.222, 0.493, 0.655], [0.222, 0.507, 0.155], [0.278, 0.000, 0.435], [0.278, 0.000, 0.935], [0.319, 0.494, 0.502], [0.319, 0.506, 0.002], [0.350, 0.094, 0.138], [0.350, 0.906, 0.638], [0.378, 0.278, 0.734], [0.378, 0.722, 0.234], [0.411, 0.263, 0.891], [0.411, 0.737, 0.391], [0.423, 0.192, 0.371], [0.423, 0.808, 0.871], [0.442, 0.278, 0.631], [0.442, 0.722, 0.131], [0.558, 0.278, 0.869], [0.558, 0.722, 0.369], [0.577, 0.192, 0.129], [0.577, 0.808, 0.629], [0.589, 0.263, 0.609], [0.589, 0.737, 0.109], [0.622, 0.278, 0.766], [0.622, 0.722, 0.266], [0.650, 0.094, 0.362], [0.650, 0.906, 0.862], [0.681, 0.494, 0.998], [0.681, 0.506, 0.498], [0.722, 0.000, 0.065], [0.722, 0.000, 0.565], [0.778, 0.493, 0.845], [0.778, 0.507, 0.345], [0.817, 0.002, 0.814], [0.817, 0.998, 0.314], [0.849, 0.410, 0.210], [0.849, 0.590, 0.710], [0.877, 0.218, 0.642], [0.877, 0.782, 0.142], [0.913, 0.235, 0.521], [0.913, 0.765, 0.021], [0.926, 0.313, 0.054], [0.926, 0.687, 0.554], [0.941, 0.218, 0.809], [0.941, 0.782, 0.309]]}

---

{"formula": "MnAl2S4", "functional": "GGA-PBE", "state": "optimized geometry", "spacegroup": "Fd-3m", "corrected_energy_ev_per_atom": -5.979, "final_energy_ev_per_atom": -5.69, "e_form_mev_per_atom": -1236, "lattice": [[0.000, 5.079, 5.079], [5.079, 0.000, 5.079], [5.079, 5.079, 0.000]], "species": ["Mn", "Mn", "Al", "Al", "Al", "Al", "S", "S", "S", "S", "S", "S", "S", "S"], "fractional_positions": [[0.125, 0.125, 0.125], [0.875, 0.875, 0.875], [0.000, 0.500, 0.500], [0.500, 0.000, 0.500], [0.500, 0.500, 0.000], [0.500, 0.500, 0.500], [0.261, 0.261, 0.261], [0.261, 0.261, 0.718], [0.261, 0.718, 0.261], [0.282, 0.739, 0.739], [0.718, 0.261, 0.261], [0.739, 0.282, 0.739], [0.739, 0.739, 0.282], [0.739, 0.739, 0.739]]}

---

> Which formula does entry 4 have?

MnAl2S4

---

> Which formula does entry 2 have?

Ti3Tl3P5O20